[1]
Density functional theory data (GGA+U) for a relaxed SrFeP2O8 crystal.

Cell lengths 5.7825, 7.2326, 9.1100 Å; angles 109.67, 101.83, 99.56 degrees
With the nearest neighbours (Å) after each atom.
Sites, in units of the cell vectors:
Sr 0.2424 0.2061 0.4446  5 O 2.50-2.69
Sr 0.7576 0.7939 0.5554  5 O 2.50-2.69
Fe 0.1860 0.8301 0.0459  5 O 1.92-2.06
Fe 0.8140 0.1699 0.9541  5 O 1.92-2.06
P 0.1008 0.5809 0.2682  4 O 1.53-1.56
P 0.3439 0.0290 0.8019  4 O 1.53-1.58
P 0.6561 0.9710 0.1981  4 O 1.53-1.58
P 0.8992 0.4191 0.7318  4 O 1.53-1.56
O 0.0651 0.4056 0.1029  1 P 1.55
O 0.1160 0.4504 0.6621  1 P 1.53
O 0.1380 0.9472 0.8711  1 P 1.58
O 0.1438 0.7859 0.2444  1 P 1.56
O 0.2201 0.0130 0.6317  1 P 1.53
O 0.3245 0.5681 0.3887  1 P 1.55
O 0.4495 0.0901 0.2019  1 P 1.58
O 0.4990 0.7558 0.0724  1 P 1.57
O 0.5010 0.2442 0.9276  1 P 1.57
O 0.5505 0.9099 0.7981  1 P 1.58
O 0.6755 0.4319 0.6113  1 P 1.55
O 0.7799 0.9870 0.3683  1 P 1.53
O 0.8562 0.2141 0.7556  1 P 1.56
O 0.8620 0.0528 0.1289  1 P 1.58
O 0.8840 0.5496 0.3379  1 P 1.53
O 0.9349 0.5944 0.8971  1 P 1.55

size of the total moment: 4.00 μB per formula unit
final energy: -166.77 eV per cell
energy of formation from the pure elements: -2.547 eV/atom


[2]
Density functional theory data (GGA+U) for a relaxed Li4VTe3O12 crystal.

Cell lengths 5.2159, 5.6305, 7.7526 Å; angles 84.48, 89.88, 89.66 degrees
With the nearest neighbours (Å) after each atom.
Sites, in units of the cell vectors:
Li 0.0000 0.0000 0.0000  3 O 2.00-2.09
Li 0.0010 0.9910 0.5108  3 O 2.02-2.04
Li 0.4968 0.4558 0.9881  6 O 2.08-2.28
Li 0.5047 0.4882 0.5143  3 O 2.02-2.10
V 0.5023 0.0526 0.7689  3 O 1.71-1.87
Te 0.0083 0.5380 0.7891  4 O 1.92-2.10
Te 0.4938 0.0702 0.2876  6 O 1.90-2.11
Te 0.9989 0.5640 0.2876  6 O 2.00-2.22
O 0.1183 0.5988 0.0412  2 Te 2.00-2.10, 1 Li 2.18
O 0.2031 0.2595 0.3792  2 Te 2.02-2.08, 1 Li 2.04
O 0.2044 0.9445 0.7325  1 V 1.71
O 0.3195 0.7790 0.3764  1 Te 1.95, 1 Li 2.10
O 0.3425 0.3984 0.7482  1 Te 1.95, 2 Li 2.02-2.08, 1 V 2.11
O 0.3602 0.1075 0.0591  1 Te 1.90, 2 Li 2.04-2.11
O 0.6304 0.0911 0.5421  1 V 1.87, 1 Li 2.03
O 0.6591 0.8056 0.8636  1 V 1.71
O 0.6630 0.3914 0.2386  2 Te 2.02-2.06, 1 Li 2.13
O 0.8061 0.2629 0.8639  1 Te 1.92, 1 Li 2.00
O 0.8171 0.9141 0.2380  2 Te 1.95-2.18, 1 Li 2.09
O 0.8812 0.5857 0.5364  2 Te 2.04-2.06, 1 Li 2.05

size of the total moment: 0.00 μB per formula unit
final energy: -113.05 eV per cell
energy of formation from the pure elements: -1.874 eV/atom
energy relative to the lowest polymorph listed for this composition: 1.24 eV/f.u.